Entry 1:
Below is a geometry-optimized Li14Ni9P16O56 structure, with properties calculated at the PBE+U level.

a = 10.694 Å, b = 9.577 Å, c = 12.713 Å
α = 69.68°, β = 116.23°, γ = 108.64°
Sites, in units of the cell vectors:
O  0.713  0.499  0.978
O  0.908  0.350  0.773
O  0.137  0.155  0.550
P  0.054  0.467  0.277
O  0.539  0.663  0.523
O  0.548  0.928  0.798
P  0.800  0.267  0.847
Li  0.899  0.082  0.429
O  0.196  0.919  0.859
O  0.457  0.571  0.702
O  0.705  0.595  0.142
Li  0.465  0.877  0.326
O  0.295  0.896  0.356
P  0.946  0.533  0.723
P  0.467  0.801  0.869
Li  0.618  0.947  0.102
O  0.043  0.557  0.655
O  0.196  0.419  0.360
O  0.265  0.985  0.512
O  0.804  0.081  0.141
Li  0.618  0.450  0.600
P  0.466  0.297  0.371
O  0.803  0.297  0.483
Li  0.895  0.581  0.927
O  0.688  0.261  0.209
P  0.200  0.733  0.153
P  0.195  0.235  0.654
O  0.649  0.291  0.761
O  0.654  0.782  0.260
P  0.710  0.143  0.519
Ni  0.250  0.068  0.194
Li  0.382  0.053  0.898
Ni  0.781  0.802  0.579
O  0.171  0.399  0.606
O  0.351  0.709  0.239
Ni  0.741  0.432  0.299
O  0.460  0.343  0.075
O  0.139  0.652  0.050
O  0.863  0.845  0.450
O  0.312  0.232  0.294
Li  0.535  0.123  0.674
O  0.957  0.443  0.345
O  0.287  0.501  0.022
O  0.295  0.405  0.858
O  0.984  0.895  0.667
Li  0.498  0.376  0.818
O  0.804  0.581  0.640
O  0.346  0.218  0.740
Li  0.974  0.864  0.098
Li  0.502  0.624  0.182
Ni  0.779  0.298  0.081
O  0.911  0.852  0.272
O  0.020  0.601  0.833
O  0.016  0.105  0.333
Li  0.382  0.550  0.400
O  0.829  0.601  0.394
O  0.452  0.072  0.202
O  0.539  0.156  0.027
O  0.547  0.158  0.425
P  0.533  0.199  0.131
O  0.089  0.148  0.728
Li  0.026  0.136  0.902
O  0.461  0.844  0.973
O  0.705  0.104  0.644
Ni  0.259  0.568  0.701
Li  0.105  0.419  0.073
O  0.042  0.055  0.158
P  0.805  0.765  0.346
O  0.175  0.895  0.107
Ni  0.750  0.932  0.806
Li  0.101  0.918  0.571
P  0.699  0.629  0.015
O  0.801  0.777  0.981
O  0.980  0.399  0.167
O  0.688  0.768  0.706
O  0.825  0.105  0.893
Ni  0.000  0.500  0.500
O  0.540  0.657  0.925
O  0.461  0.337  0.477
P  0.053  0.964  0.776
O  0.735  0.015  0.488
P  0.301  0.371  0.985
Ni  0.221  0.702  0.919
O  0.453  0.842  0.575
O  0.197  0.703  0.517
O  0.092  0.650  0.227
P  0.534  0.703  0.629
Ni  0.219  0.198  0.421
O  0.543  0.429  0.298
O  0.861  0.348  0.950
P  0.290  0.857  0.481
P  0.947  0.036  0.224
O  0.958  0.945  0.842
O  0.199  0.223  0.019
O  0.312  0.739  0.791

Results
As for the space group: P-1.

***

Entry 2:
Below is a geometry-optimized Mn2C3O9 structure, with properties calculated at the PBE+U level.

a = 7.605 Å, b = 7.608 Å, c = 7.602 Å
α = 107.36°, β = 107.45°, γ = 107.61°
Sites, in units of the cell vectors:
C  0.810  0.607  0.414
O  0.750  0.099  0.099
O  0.742  0.724  0.503
Mn  0.522  0.522  0.524
O  0.729  0.504  0.745
O  0.072  0.345  0.309
O  0.062  0.353  0.949
O  0.385  0.972  0.686
O  0.712  0.413  0.358
C  0.610  0.415  0.810
O  0.415  0.360  0.708
Mn  0.183  0.052  0.533
O  0.352  0.948  0.062
O  0.504  0.746  0.728
Mn  0.054  0.533  0.184
O  0.358  0.711  0.415
O  0.345  0.308  0.072
Mn  0.533  0.183  0.053
O  0.098  0.099  0.750
O  0.308  0.072  0.345
C  0.254  0.923  0.171
C  0.414  0.812  0.610
C  0.924  0.171  0.254
O  0.099  0.750  0.099
O  0.971  0.686  0.386
O  0.685  0.385  0.971
O  0.949  0.062  0.353
C  0.171  0.254  0.924

Results
The energy above the lowest structure with this stoichiometry comes out at 14.9 meV per atom. As for the space group: P1.

***

| no. | uncorrected energy (eV per atom) | calculated formation energy (meV/atom) |
| --- | --- | --- |
| 1 | -6.47 | -2457 |
| 2 | -7.59 | -1800 |